# 1
CsZr6CI14 | Materials Project | PBE-GGA | relaxed; space-group type = No. 64; total moment = 1.95 Bohr magnetons per cell
1.0
7.536 -8.068 0.000
7.536 8.068 0.000
0.000 0.000 13.221
Zr I Cs C
12 28 2 2
Direct
0.543 0.336 0.106 Zr
0.664 0.457 0.894 Zr
0.457 0.664 0.894 Zr
0.374 0.374 0.907 Zr
0.043 0.836 0.394 Zr
0.957 0.164 0.606 Zr
0.126 0.126 0.407 Zr
0.336 0.543 0.106 Zr
0.836 0.043 0.394 Zr
0.874 0.874 0.593 Zr
0.626 0.626 0.093 Zr
0.164 0.957 0.606 Zr
0.965 0.211 0.254 I
0.394 0.894 0.750 I
0.251 0.749 0.000 I
0.349 0.349 0.257 I
0.106 0.606 0.250 I
0.211 0.965 0.254 I
0.535 0.289 0.754 I
0.609 0.857 0.993 I
0.249 0.751 0.500 I
0.711 0.465 0.246 I
0.465 0.711 0.246 I
0.651 0.651 0.743 I
0.891 0.643 0.493 I
0.849 0.849 0.243 I
0.151 0.151 0.757 I
0.289 0.535 0.754 I
0.109 0.357 0.507 I
0.143 0.391 0.007 I
0.391 0.143 0.007 I
0.751 0.249 0.500 I
0.749 0.251 0.000 I
0.894 0.394 0.750 I
0.035 0.789 0.746 I
0.606 0.106 0.250 I
0.357 0.109 0.507 I
0.857 0.609 0.993 I
0.643 0.891 0.493 I
0.789 0.035 0.746 I
0.500 0.500 0.500 Cs
0.000 0.000 0.000 Cs
0.000 0.000 0.500 C
0.500 0.500 0.000 C



# 2
Cs2Zr7CI18 | Materials Project | PBE-GGA | relaxed; space-group type = No. 148
1.0
10.499 -5.542 0.000
10.499 5.542 0.000
7.574 0.000 9.142
I Zr Cs C
18 7 2 1
Direct
0.529 0.356 0.782 I
0.782 0.529 0.356 I
0.644 0.218 0.471 I
0.054 0.933 0.343 I
0.876 0.412 0.713 I
0.218 0.471 0.644 I
0.713 0.876 0.412 I
0.124 0.588 0.287 I
0.946 0.067 0.657 I
0.343 0.054 0.933 I
0.067 0.657 0.946 I
0.287 0.124 0.588 I
0.412 0.713 0.876 I
0.588 0.287 0.124 I
0.933 0.343 0.054 I
0.356 0.782 0.529 I
0.657 0.946 0.067 I
0.471 0.644 0.218 I
0.186 0.857 0.088 Zr
0.912 0.814 0.143 Zr
0.088 0.186 0.857 Zr
0.500 0.500 0.500 Zr
0.857 0.088 0.186 Zr
0.143 0.912 0.814 Zr
0.814 0.143 0.912 Zr
0.776 0.776 0.776 Cs
0.224 0.224 0.224 Cs
0.000 0.000 0.000 C



# 3
Cs2LiIrC6N6 | Materials Project | PBE-GGA | relaxed; space-group type = No. 225; total moment = 0.00 Bohr magnetons per cell
1.0
7.054 2.828 1.098
1.266 5.091 5.608
4.034 -2.046 6.205
C Cs N Ir Li
6 2 6 1 1
Direct
0.814 0.186 0.814 C
0.186 0.814 0.814 C
0.186 0.186 0.814 C
0.814 0.186 0.186 C
0.814 0.814 0.186 C
0.186 0.814 0.186 C
0.750 0.750 0.750 Cs
0.250 0.250 0.250 Cs
0.706 0.294 0.294 N
0.706 0.706 0.294 N
0.294 0.706 0.294 N
0.294 0.706 0.706 N
0.294 0.294 0.706 N
0.706 0.294 0.706 N
0.000 0.000 0.000 Ir
0.500 0.500 0.500 Li



# 4
CsKC2 | Materials Project | PBE-GGA | relaxed; space-group type = No. 62; total moment = 0.00 Bohr magnetons per cell
1.0
-3.397 2.839 3.887
2.558 7.200 -3.023
-6.962 -0.062 -6.039
Cs C K
4 8 4
Direct
0.250 0.986 0.320 Cs
0.750 0.014 0.680 Cs
0.750 0.514 0.820 Cs
0.250 0.486 0.180 Cs
0.357 0.727 0.610 C
0.357 0.227 0.890 C
0.143 0.727 0.610 C
0.143 0.227 0.890 C
0.857 0.273 0.390 C
0.643 0.773 0.110 C
0.857 0.773 0.110 C
0.643 0.273 0.390 C
0.250 0.856 0.920 K
0.250 0.356 0.580 K
0.750 0.144 0.080 K
0.750 0.644 0.420 K



# 5
Cs2LiMnC6N6 | Materials Project | PBE-GGA | relaxed; space-group type = No. 225; total moment = 2.00 Bohr magnetons per cell
1.0
0.000 5.366 5.366
5.366 0.000 5.366
5.366 5.366 0.000
Cs Li C N Mn
2 1 6 6 1
Direct
0.750 0.750 0.750 Cs
0.250 0.250 0.250 Cs
0.500 0.500 0.500 Li
0.817 0.183 0.183 C
0.183 0.817 0.183 C
0.183 0.817 0.817 C
0.817 0.183 0.817 C
0.817 0.817 0.183 C
0.183 0.183 0.817 C
0.708 0.292 0.708 N
0.708 0.708 0.292 N
0.292 0.708 0.292 N
0.292 0.292 0.708 N
0.292 0.708 0.708 N
0.708 0.292 0.292 N
0.000 0.000 0.000 Mn



# 6
CsMg14C | Materials Project | PBE-GGA | relaxed; space-group type = No. 38; total moment = 0.00 Bohr magnetons per cell; offset from the most stable computed form = 0.00 eV per formula unit
1.0
6.666 0.237 0.000
-3.128 5.418 0.000
0.000 0.000 10.513
Mg C Cs
14 1 1
Direct
0.173 0.336 0.625 Mg
0.344 0.161 0.868 Mg
0.603 0.302 0.125 Mg
0.840 0.670 0.358 Mg
0.344 0.682 0.382 Mg
0.603 0.801 0.125 Mg
0.824 0.162 0.847 Mg
0.824 0.162 0.403 Mg
0.840 0.670 0.892 Mg
0.344 0.161 0.382 Mg
0.154 0.827 0.625 Mg
0.344 0.682 0.868 Mg
0.655 0.821 0.625 Mg
0.655 0.334 0.625 Mg
0.355 0.927 0.125 C
0.099 0.300 0.125 Cs



# 7
CsMg14C | Materials Project | PBE-GGA | relaxed; space-group type = No. 187; total moment = 0.03 Bohr magnetons per cell; offset from the most stable computed form = 1.74 eV per formula unit
1.0
-3.305 -0.128 -5.415
5.323 -3.410 0.550
-5.838 -8.506 3.764
Mg Cs C
14 1 1
Direct
0.326 0.653 0.417 Mg
0.674 0.348 0.625 Mg
0.326 0.174 0.833 Mg
0.674 0.826 0.625 Mg
0.326 0.653 0.833 Mg
0.152 0.826 0.625 Mg
0.172 0.836 0.125 Mg
0.664 0.836 0.125 Mg
0.833 0.667 0.365 Mg
0.664 0.328 0.125 Mg
0.326 0.174 0.417 Mg
0.847 0.174 0.417 Mg
0.847 0.174 0.833 Mg
0.833 0.667 0.885 Mg
0.167 0.333 0.125 Cs
0.167 0.333 0.625 C



# 8
CsMoC6 | Materials Project | PBE-GGA | relaxed; space-group type = No. 221; total moment = 0.00 Bohr magnetons per cell
1.0
-2.733 3.232 -3.424
-4.673 -2.347 1.515
-0.577 3.700 3.952
C Cs Mo
6 1 1
Direct
0.884 0.500 0.500 C
0.500 0.884 0.500 C
0.116 0.500 0.500 C
0.500 0.500 0.116 C
0.500 0.116 0.500 C
0.500 0.500 0.884 C
0.000 0.000 0.000 Cs
0.500 0.500 0.500 Mo



# 9
Cs3MoC6S3N6 | Materials Project | PBE-GGA | relaxed; space-group type = No. 187; total moment = 2.02 Bohr magnetons per cell
1.0
4.750 -8.228 0.000
4.750 8.228 0.000
0.000 0.000 7.283
N S C Cs Mo
6 3 6 3 1
Direct
0.902 0.098 0.180 N
0.902 0.805 0.820 N
0.902 0.805 0.180 N
0.195 0.098 0.180 N
0.902 0.098 0.820 N
0.195 0.098 0.820 N
0.797 0.595 0.500 S
0.797 0.203 0.500 S
0.405 0.203 0.500 S
0.321 0.161 0.266 C
0.839 0.679 0.734 C
0.839 0.679 0.266 C
0.321 0.161 0.734 C
0.839 0.161 0.266 C
0.839 0.161 0.734 C
0.509 0.017 0.000 Cs
0.509 0.491 0.000 Cs
0.983 0.491 0.000 Cs
0.000 0.000 0.000 Mo



# 10
Cs2CN2 | Materials Project | PBE-GGA | relaxed; space-group type = No. 2; total moment = 0.00 Bohr magnetons per cell
1.0
-1.943 0.038 -5.536
-1.362 -5.751 -1.445
-12.592 0.508 3.131
N C Cs
6 3 6
Direct
0.657 0.521 0.671 N
0.009 0.841 0.338 N
0.668 0.819 0.999 N
0.343 0.479 0.329 N
0.332 0.181 0.001 N
0.991 0.159 0.662 N
0.177 0.660 0.333 C
0.823 0.340 0.667 C
0.500 0.000 0.000 C
0.504 0.996 0.248 Cs
0.825 0.338 0.915 Cs
0.154 0.674 0.583 Cs
0.496 0.004 0.752 Cs
0.846 0.326 0.417 Cs
0.175 0.662 0.085 Cs



# 11
Cs2NaC6N9 | Materials Project | PBE-GGA | relaxed; space-group type = No. 176; total moment = 0.01 Bohr magnetons per cell
1.0
3.620 -6.270 0.000
3.620 6.270 0.000
0.000 0.000 14.850
N Cs C Na
18 4 12 2
Direct
0.134 0.327 0.902 N
0.069 0.713 0.750 N
0.134 0.327 0.598 N
0.327 0.193 0.098 N
0.193 0.866 0.902 N
0.713 0.644 0.250 N
0.807 0.134 0.098 N
0.287 0.356 0.750 N
0.193 0.866 0.598 N
0.673 0.807 0.598 N
0.673 0.807 0.902 N
0.866 0.673 0.098 N
0.866 0.673 0.402 N
0.356 0.069 0.250 N
0.931 0.287 0.250 N
0.807 0.134 0.402 N
0.644 0.931 0.750 N
0.327 0.193 0.402 N
0.667 0.333 0.930 Cs
0.333 0.667 0.430 Cs
0.667 0.333 0.570 Cs
0.333 0.667 0.070 Cs
0.802 0.660 0.328 C
0.142 0.802 0.828 C
0.858 0.198 0.172 C
0.858 0.198 0.328 C
0.142 0.802 0.672 C
0.802 0.660 0.172 C
0.198 0.340 0.672 C
0.340 0.142 0.328 C
0.198 0.340 0.828 C
0.340 0.142 0.172 C
0.660 0.858 0.672 C
0.660 0.858 0.828 C
0.000 0.000 0.500 Na
0.000 0.000 0.000 Na



# 12
CsNiC3S3N3 | Materials Project | PBE-GGA | relaxed; space-group type = No. 14; total moment = 0.05 Bohr magnetons per cell
1.0
13.299 0.000 0.000
0.000 5.541 0.000
0.000 4.124 12.506
Ni S C Cs N
4 12 12 4 12
Direct
0.000 0.500 0.500 Ni
0.500 0.000 0.500 Ni
0.500 0.500 0.000 Ni
0.000 0.000 0.000 Ni
0.840 0.231 0.016 S
0.340 0.769 0.484 S
0.609 0.510 0.846 S
0.160 0.769 0.984 S
0.643 0.690 0.077 S
0.109 0.490 0.654 S
0.660 0.231 0.516 S
0.143 0.310 0.423 S
0.391 0.490 0.154 S
0.857 0.690 0.577 S
0.891 0.510 0.346 S
0.357 0.310 0.923 S
0.950 0.681 0.238 C
0.406 0.038 0.926 C
0.450 0.319 0.262 C
0.550 0.681 0.738 C
0.094 0.038 0.426 C
0.906 0.962 0.574 C
0.118 0.481 0.010 C
0.050 0.319 0.762 C
0.618 0.519 0.490 C
0.382 0.481 0.510 C
0.594 0.962 0.074 C
0.882 0.519 0.990 C
0.729 0.064 0.283 Cs
0.271 0.936 0.717 Cs
0.771 0.064 0.783 Cs
0.229 0.936 0.217 Cs
0.989 0.807 0.159 N
0.441 0.838 0.930 N
0.414 0.273 0.528 N
0.914 0.727 0.972 N
0.559 0.162 0.070 N
0.059 0.838 0.430 N
0.086 0.273 0.028 N
0.489 0.193 0.341 N
0.586 0.727 0.472 N
0.011 0.193 0.841 N
0.941 0.162 0.570 N
0.511 0.807 0.659 N



# 13
Cs4Re6C4S9N4 | Materials Project | PBE-GGA | relaxed; space-group type = No. 2; total moment = 0.00 Bohr magnetons per cell
1.0
-2.600 7.964 5.543
5.155 -5.554 6.647
10.968 4.457 -9.673
S C N Cs Re
18 8 8 8 12
Direct
0.452 0.013 0.801 S
0.233 0.012 0.043 S
0.753 0.535 0.437 S
0.548 0.987 0.199 S
0.233 0.306 0.340 S
0.471 0.340 0.209 S
0.767 0.988 0.957 S
0.438 0.624 0.338 S
0.753 0.242 0.138 S
0.562 0.730 0.018 S
0.529 0.660 0.791 S
0.438 0.270 0.982 S
0.562 0.376 0.662 S
0.247 0.465 0.563 S
0.247 0.758 0.862 S
0.452 0.779 0.564 S
0.548 0.221 0.436 S
0.767 0.694 0.660 S
0.140 0.601 0.382 C
0.266 0.137 0.508 C
0.258 0.709 0.072 C
0.860 0.399 0.618 C
0.139 0.037 0.823 C
0.742 0.291 0.928 C
0.734 0.863 0.492 C
0.861 0.963 0.177 C
0.966 0.945 0.229 N
0.966 0.370 0.658 N
0.034 0.055 0.771 N
0.195 0.035 0.516 N
0.034 0.630 0.342 N
0.178 0.631 0.094 N
0.822 0.369 0.906 N
0.805 0.965 0.484 N
0.102 0.317 0.093 Cs
0.901 0.209 0.399 Cs
0.099 0.791 0.601 Cs
0.735 0.104 0.696 Cs
0.265 0.896 0.304 Cs
0.276 0.350 0.768 Cs
0.898 0.683 0.907 Cs
0.724 0.650 0.232 Cs
0.389 0.328 0.501 Re
0.492 0.141 0.099 Re
0.671 0.985 0.084 Re
0.611 0.672 0.499 Re
0.508 0.586 0.624 Re
0.329 0.015 0.916 Re
0.330 0.547 0.447 Re
0.508 0.859 0.901 Re
0.389 0.860 0.033 Re
0.492 0.414 0.376 Re
0.611 0.140 0.967 Re
0.670 0.453 0.553 Re



E_form (eV per formula unit)
-28.08; -36.71; -5.96; 1.16; -4.17; 5.70; 7.43; 7.27; 1.83; -2.89; -4.68; -2.91; -21.13
E_tot (eV per atom)
-4.80; -4.58; -7.61; -4.83; -7.52; -1.68; -1.57; -7.48; -6.62; -5.97; -7.50; -6.55; -7.44